Entry from the Materials Project database: an optimized crystal structure of Lu2Te3O9 (GGA-PBE).

a b c (Å): 6.9855 13.3591 14.7022
angles (deg): 110.22 90.63 100.12
With the nearest neighbours (Å) after each atom.
Space group P-1 (No. 2)
Unique sites:
Lu 0.0120 0.2609 0.4698 [2 per cell]  6 O 2.24-2.33
Lu 0.2488 0.5580 0.9722 [2 per cell]  7 O 2.20-2.40
Lu 0.2552 0.0407 0.9652 [2 per cell]  8 O 2.22-2.49
Lu 0.3204 0.2762 0.8317 [2 per cell]  6 O 2.20-2.39
Lu 0.3339 0.7705 0.8379 [2 per cell]  6 O 2.19-2.43
Lu 0.4234 0.1639 0.5745 [2 per cell]  4 O 2.11-2.27
Te 0.0115 0.4643 0.3582 [2 per cell]  3 O 1.88-1.93
Te 0.1241 0.9206 0.3836 [2 per cell]  3 O 1.89-1.91
Te 0.1378 0.1441 0.2249 [2 per cell]  3 O 1.90-1.97
Te 0.1462 0.6519 0.2057 [2 per cell]  3 O 1.92-1.95
Te 0.2302 0.8538 0.0790 [2 per cell]  3 O 1.89-1.97
Te 0.2739 0.3266 0.0703 [2 per cell]  3 O 1.94-1.99
Te 0.3640 0.9748 0.6926 [2 per cell]  3 O 1.89-1.93
Te 0.4333 0.4683 0.7280 [2 per cell]  3 O 1.90-1.92
Te 0.4580 0.6893 0.5683 [2 per cell]  3 O 1.89-1.96
O 0.0001 0.2454 0.8158 [2 per cell]  1 Te 1.95
O 0.0444 0.5368 0.0860 [2 per cell]  1 Te 1.92
O 0.0532 0.1716 0.5700 [2 per cell]  1 Te 1.89
O 0.0616 0.9475 0.0609 [2 per cell]  1 Te 1.94
O 0.0873 0.8596 0.8511 [2 per cell]  1 Te 1.90
O 0.1066 0.8915 0.6577 [2 per cell]  1 Te 1.90
O 0.1139 0.4114 0.6019 [2 per cell]  1 Te 1.93
O 0.1233 0.6094 0.5618 [2 per cell]  1 Te 1.93
O 0.1399 0.7197 0.9769 [2 per cell]  1 Te 1.89
O 0.1532 0.6118 0.7558 [2 per cell]  1 Te 1.88
O 0.1564 0.2863 0.3210 [2 per cell]  1 Te 1.92
O 0.2784 0.4387 0.8243 [2 per cell]  1 Te 1.90
O 0.2898 0.9941 0.5002 [2 per cell]  1 Te 1.91
O 0.2954 0.2034 0.9492 [2 per cell]  1 Te 1.99
O 0.3031 0.1155 0.7094 [2 per cell]  1 Te 1.93
O 0.3106 0.8321 0.3331 [2 per cell]  1 Te 1.90
O 0.3125 0.4956 0.2048 [2 per cell]  1 Te 1.92
O 0.3152 0.1684 0.1280 [2 per cell]  1 Te 1.97
O 0.3145 0.2209 0.4599 [2 per cell]  1 Te 1.96
O 0.3164 0.7551 0.4984 [2 per cell]  1 Te 1.93
O 0.3505 0.4128 0.9897 [2 per cell]  1 Te 1.94
O 0.3593 0.6851 0.1314 [2 per cell]  1 Te 1.93
O 0.3991 0.9020 0.9898 [2 per cell]  1 Te 1.97
O 0.3986 0.9956 0.8262 [2 per cell]  1 Te 1.89
O 0.4349 0.7807 0.6972 [2 per cell]  1 Te 1.89
O 0.4367 0.3160 0.6863 [2 per cell]  1 Te 1.92, 1 Lu 2.11
O 0.4542 0.6516 0.8859 [2 per cell]  1 Te 1.94

Values from the calculation:
E_form: -2.489 eV per atom
Total magnetization: 0.00 Bohr magnetons per cell